(1)
# YbEu

A relaxed structure of YbEu (r²SCAN, the Materials Project database).

a = 6.4496 Å, b = 6.4496 Å, c = 6.4496 Å
α = 32.46°, β = 32.46°, γ = 32.46°
Fractional positions:
1 Yb 0.0000 0.0000 0.0000
2 Eu 0.5000 0.5000 0.5000

The space group is R-3m, No. 166. The value obtained for the total magnetic moment is 8.00 μB per cell. The formation energy from the elements is 0.1080 eV/atom. The calculation puts the calculated volume at 34.4 Å³ per atom. Its relative energy among the computed polymorphs is 0 meV/atom.

=====

(2)
# EuZn2

A relaxed structure of EuZn2 (r²SCAN, the Materials Project database).

a = 5.7878 Å, b = 5.7878 Å, c = 5.7878 Å
α = 132.75°, β = 99.13°, γ = 99.35°
Fractional positions:
1 Eu 0.3021 0.0521 0.2500
2 Eu 0.6979 0.9479 0.7500
3 Zn 0.0984 0.6636 0.4348
4 Zn 0.2712 0.3364 0.9348
5 Zn 0.7288 0.6636 0.0652
6 Zn 0.9016 0.3364 0.5652

The space group is Imma, No. 74. The value obtained for the total magnetic moment is 14.38 μB per cell. The formation energy from the elements is -0.3154 eV/atom. The calculation puts the calculated volume at 21.7 Å³ per atom.

=====

(3)
# EuZn5

A relaxed structure of EuZn5 (r²SCAN, the Materials Project database).

a = 5.3767 Å, b = 5.3767 Å, c = 4.2204 Å
α = 90.00°, β = 90.00°, γ = 120.00°
Fractional positions:
1 Eu 0.0000 0.0000 0.0000
2 Zn 0.0000 0.5000 0.5000
3 Zn 0.3333 0.6667 0.0000
4 Zn 0.5000 0.0000 0.5000
5 Zn 0.5000 0.5000 0.5000
6 Zn 0.6667 0.3333 0.0000

The space group is P6/mmm, No. 191. The value obtained for the total magnetic moment is 7.11 μB per cell. The formation energy from the elements is -0.2775 eV/atom. The calculation puts the calculated volume at 17.6 Å³ per atom.

=====

(4)
# EuZn

A relaxed structure of EuZn (r²SCAN, the Materials Project database).

a = 3.7412 Å, b = 3.7412 Å, c = 3.7412 Å
α = 90.00°, β = 90.00°, γ = 90.00°
Fractional positions:
1 Eu 0.0000 0.0000 0.0000
2 Zn 0.5000 0.5000 0.5000

The space group is Pm-3m, No. 221. The value obtained for the total magnetic moment is 7.20 μB per cell. The formation energy from the elements is -0.2604 eV/atom. The calculation puts the calculated volume at 26.2 Å³ per atom.